The following is a DFT calculation (PBE) of LiEu3 after structural relaxation.

Unit cell a=6.807 b=6.807 c=6.807 alpha=135.09 beta=135.09 gamma=65.39
Positions (direct):
Eu: 0.250 0.750 0.500
Eu: 0.750 0.250 0.500
Eu: 0.500 0.500 0.000
Li: 0.000 0.000 0.000

**SG**: I4/mmm (139)
**Distance to the lowest polymorph of the same formula**: 14 meV/atom
**Energy**: -32.29 eV per cell
**Formation energy**: 0.097 eV/atom
**Spin magnetization**: 22.46 μB/cell